No. 1
Entry from the Materials Project: crystalline TeMo2SeS2 at its relaxed geometry (GGA-PBE).

Unit cell a=3.307 b=3.307 c=38.688 alpha=90.00 beta=90.00 gamma=120.00
Fractional positions:
Se: 0.333 0.667 0.702
Mo: 0.333 0.667 0.094
Mo: 0.667 0.333 0.281
Te: 0.667 0.333 0.518
S: 0.667 0.333 0.133
S: 0.667 0.333 0.054
Te: 0.667 0.333 0.420
Mo: 0.667 0.333 0.659
Se: 0.333 0.667 0.615
S: 0.333 0.667 0.321
S: 0.333 0.667 0.242
Mo: 0.333 0.667 0.469

Properties
The space group is P3m1 (156). The calculation puts the formation energy at -0.7858 eV/atom. Its crystal system is trigonal. The calculated total energy comes out at -40.31 eV per formula unit.

No. 2
Entry from the Materials Project: crystalline Na5TiIn3Si3S3O24 at its relaxed geometry (GGA-PBE).

Unit cell a=9.090 b=9.084 c=22.830 alpha=90.74 beta=90.10 gamma=119.97
Fractional positions:
S: 0.698 0.699 0.250
O: 0.866 0.366 0.922
O: 0.650 0.161 0.429
Ti: 0.661 0.350 0.978
Na: 0.694 0.022 0.913
O: 0.970 0.774 0.804
O: 0.319 0.851 0.252
In: 0.997 0.001 0.351
O: 0.161 0.689 0.759
O: 0.038 0.810 0.700
Na: 0.646 0.007 0.256
Si: 0.667 0.630 0.584
O: 0.219 0.168 0.803
O: 0.470 0.149 0.531
O: 0.830 0.513 0.027
O: 0.891 0.540 0.146
O: 0.092 0.610 0.358
O: 0.188 0.972 0.197
Na: 0.632 0.636 0.745
O: 0.839 0.821 0.583
O: 0.004 0.200 0.913
In: 0.331 0.677 0.017
Si: 0.005 0.296 0.249
O: 0.518 0.866 0.080
O: 0.963 0.176 0.581
In: 0.659 0.335 0.685
In: 0.321 0.662 0.320
Si: 0.036 0.670 0.418
O: 0.679 0.516 0.527
O: 0.150 0.690 0.474
S: 0.374 0.044 0.581
S: 0.380 0.335 0.082
O: 0.825 0.033 0.083
O: 0.129 0.486 0.577
Ti: 0.680 0.348 0.480
O: 0.475 0.350 0.136
Na: 0.326 0.636 0.668
O: 0.376 0.477 0.366
O: 0.148 0.641 0.079
O: 0.852 0.320 0.527
O: 0.533 0.693 0.255
Na: 0.012 0.991 0.998
O: 0.121 0.483 0.867
Si: 0.336 0.965 0.916
S: 0.007 0.702 0.751
O: 0.643 0.109 0.139
Si: 0.290 0.299 0.750
O: 0.817 0.829 0.912
In: 0.008 0.012 0.850
O: 0.855 0.532 0.744
O: 0.646 0.495 0.926
Na: 0.306 0.636 0.160
O: 0.169 0.984 0.909
In: 0.339 0.674 0.516
S: 0.298 0.004 0.249
O: 0.519 0.149 0.927
O: 0.971 0.188 0.310
S: 0.665 0.040 0.082
O: 0.136 0.447 0.972
O: 0.489 0.337 0.747
O: 0.652 0.531 0.644
O: 0.840 0.496 0.428
In: 0.002 0.002 0.142
O: 0.470 0.113 0.637
O: 0.023 0.197 0.193
O: 0.878 0.354 0.634
O: 0.206 0.030 0.583
O: 0.364 0.488 0.078
O: 0.370 0.867 0.859
Ti: 0.363 0.678 0.815
O: 0.472 0.319 0.030
O: 0.827 0.310 0.247
O: 0.667 0.160 0.744
O: 0.511 0.641 0.858
Na: 0.962 0.302 0.411
Na: 0.703 0.686 0.424
Si: 0.627 0.669 0.919
Na: 0.004 0.981 0.501
S: 0.341 0.370 0.418
S: 0.958 0.337 0.581
O: 0.768 0.949 0.692
O: 0.181 0.219 0.690
Na: 0.000 0.621 0.247
O: 0.522 0.888 0.356
Na: 0.981 0.684 0.921
Na: 0.665 0.953 0.584
Si: 0.966 0.631 0.083
O: 0.974 0.817 0.082
Na: 0.663 0.318 0.334
O: 0.803 0.769 0.304
O: 0.169 0.491 0.253
In: 0.683 0.339 0.178
Na: 0.365 0.012 0.758
O: 0.002 0.828 0.411
O: 0.212 0.178 0.081
O: 0.469 0.156 0.244
O: 0.495 0.355 0.426
O: 0.541 0.702 0.974
O: 0.784 0.807 0.199
O: 0.674 0.144 0.032
O: 0.310 0.491 0.761
Na: 0.649 0.319 0.832
Si: 0.629 0.969 0.417
O: 0.190 0.200 0.411
O: 0.222 0.025 0.303
O: 0.284 0.840 0.971
O: 0.509 0.827 0.759
O: 0.808 0.027 0.811
O: 0.824 0.001 0.414
Si: 0.704 0.003 0.751
O: 0.676 0.526 0.244
O: 0.499 0.653 0.579
O: 0.306 0.444 0.470
S: 0.038 0.378 0.918
O: 0.359 0.873 0.578
O: 0.555 0.843 0.473
In: 0.994 0.999 0.651

Properties
The space group is P1 (1). The calculation puts the formation energy at -2.3870 eV/atom. Its crystal system is triclinic. The calculated total energy comes out at -246.81 eV per formula unit.

No. 3
Entry from the Materials Project: crystalline PuPd3 at its relaxed geometry (GGA-PBE).

Unit cell a=5.070 b=5.070 c=5.070 alpha=131.71 beta=131.71 gamma=70.68
Fractional positions:
Pd: 0.500 0.500 0.000
Pd: 0.750 0.250 0.500
Pd: 0.250 0.750 0.500
Pu: 0.000 0.000 0.000

Properties
The space group is I4/mmm (139). The calculation puts the formation energy at -0.0697 eV/atom. Its crystal system is tetragonal. The calculated total energy comes out at -30.09 eV per formula unit.

No. 4
Entry from the Materials Project: crystalline La5TlTe8 at its relaxed geometry (GGA-PBE).

Unit cell a=8.451 b=8.451 c=8.451 alpha=109.32 beta=109.32 gamma=109.78
Fractional positions:
Te: 0.036 0.124 0.756
La: 0.630 0.749 0.623
Te: 0.368 0.281 0.244
Te: 0.235 0.481 0.601
La: 0.251 0.874 0.881
La: 0.993 0.370 0.119
Tl: 0.750 0.250 0.500
Te: 0.519 0.120 0.754
La: 0.500 0.500 0.000
Te: 0.719 0.964 0.087
Te: 0.876 0.632 0.913
Te: 0.366 0.765 0.246
Te: 0.880 0.634 0.399
La: 0.126 0.007 0.377

Properties
The space group is I-4 (82). The value obtained for the piezoelectric modulus e_max is 0.21 C/m2. The calculation puts the formation energy at -1.7191 eV/atom. Its crystal system is tetragonal. The calculated total energy comes out at -72.88 eV per formula unit.

No. 5
Entry from the Materials Project: crystalline NaH3CN2O at its relaxed geometry (GGA-PBE).

Unit cell a=17.962 b=6.795 c=11.153 alpha=90.00 beta=97.27 gamma=90.00
Fractional positions:
Na: 0.498 0.451 0.756
Na: 0.577 0.312 0.520
H: 0.735 0.767 0.306
H: 0.735 0.733 0.806
H: 0.265 0.233 0.694
N: 0.247 0.169 0.768
C: 0.170 0.298 0.279
H: 0.611 0.823 0.149
H: 0.266 0.028 0.782
C: 0.330 0.695 0.718
O: 0.394 0.723 0.677
C: 0.670 0.305 0.282
H: 0.899 0.223 0.847
H: 0.348 0.043 0.577
C: 0.068 0.688 0.990
H: 0.715 0.069 0.941
O: 0.858 0.637 0.268
H: 0.315 0.150 0.442
N: 0.868 0.923 0.161
C: 0.830 0.798 0.221
O: 0.606 0.223 0.823
H: 0.228 0.942 0.170
N: 0.563 0.678 0.588
O: 0.472 0.203 0.604
O: 0.021 0.812 0.393
N: 0.680 0.268 0.168
N: 0.680 0.232 0.668
N: 0.349 0.163 0.522
H: 0.140 0.519 0.908
H: 0.266 0.472 0.282
N: 0.563 0.822 0.088
N: 0.247 0.331 0.268
H: 0.265 0.267 0.194
N: 0.943 0.203 0.914
N: 0.269 0.866 0.134
Na: 0.498 0.049 0.256
N: 0.437 0.322 0.412
Na: 0.081 0.172 0.023
Na: 0.919 0.672 0.477
O: 0.979 0.188 0.607
Na: 0.002 0.959 0.760
H: 0.734 0.972 0.218
O: 0.142 0.137 0.232
N: 0.753 0.831 0.232
N: 0.057 0.797 0.086
H: 0.228 0.558 0.670
N: 0.437 0.178 0.912
H: 0.166 0.959 0.867
N: 0.129 0.559 0.992
C: 0.932 0.312 0.010
N: 0.868 0.577 0.661
H: 0.175 0.898 0.549
C: 0.670 0.195 0.782
N: 0.129 0.941 0.492
H: 0.772 0.058 0.830
Na: 0.998 0.041 0.240
N: 0.320 0.732 0.832
H: 0.611 0.677 0.649
Na: 0.502 0.951 0.744
O: 0.021 0.688 0.893
N: 0.943 0.297 0.414
C: 0.579 0.729 0.989
H: 0.101 0.777 0.153
C: 0.170 0.202 0.779
H: 0.685 0.850 0.558
H: 0.389 0.177 0.851
H: 0.267 0.692 0.845
N: 0.132 0.077 0.839
Na: 0.502 0.549 0.244
N: 0.132 0.423 0.339
N: 0.753 0.669 0.732
N: 0.269 0.634 0.634
H: 0.899 0.277 0.347
H: 0.267 0.808 0.345
Na: 0.998 0.459 0.740
N: 0.651 0.837 0.478
H: 0.825 0.398 0.951
H: 0.652 0.957 0.423
H: 0.715 0.431 0.441
Na: 0.919 0.828 0.977
O: 0.528 0.797 0.396
H: 0.285 0.931 0.059
N: 0.651 0.663 0.978
H: 0.315 0.350 0.942
C: 0.330 0.805 0.218
N: 0.057 0.703 0.586
C: 0.421 0.229 0.511
O: 0.394 0.777 0.177
H: 0.285 0.569 0.559
H: 0.734 0.528 0.718
C: 0.579 0.771 0.489
H: 0.733 0.192 0.655
H: 0.140 0.981 0.408
H: 0.860 0.481 0.092
H: 0.348 0.457 0.077
H: 0.772 0.442 0.330
H: 0.834 0.041 0.133
O: 0.858 0.863 0.768
C: 0.932 0.188 0.510
C: 0.068 0.812 0.490
N: 0.731 0.134 0.866
O: 0.606 0.277 0.323
H: 0.834 0.459 0.633
H: 0.685 0.650 0.058
H: 0.175 0.602 0.049
H: 0.101 0.723 0.653
H: 0.860 0.019 0.592
O: 0.528 0.703 0.896
O: 0.472 0.297 0.104
C: 0.830 0.702 0.721
C: 0.421 0.271 0.011
N: 0.349 0.337 0.022
H: 0.825 0.102 0.451
Na: 0.002 0.541 0.260
Na: 0.423 0.688 0.480
O: 0.979 0.312 0.107
H: 0.166 0.541 0.367
N: 0.320 0.768 0.332
Na: 0.423 0.812 0.980
H: 0.389 0.323 0.351
O: 0.142 0.363 0.732
Na: 0.081 0.328 0.523
N: 0.871 0.441 0.008
H: 0.733 0.308 0.155
N: 0.871 0.059 0.508
Na: 0.577 0.188 0.020
N: 0.731 0.366 0.366
H: 0.652 0.543 0.923

Properties
The space group is P2_1/c (14). The calculation puts the formation energy at -0.7179 eV/atom. Its crystal system is monoclinic. The calculated total energy comes out at -47.41 eV per formula unit.

No. 6
Entry from the Materials Project: crystalline KTi5Se8 at its relaxed geometry (GGA-PBE).

Unit cell a=9.626 b=9.626 c=9.235 alpha=75.38 beta=75.38 gamma=21.68
Fractional positions:
Se: 0.913 0.913 0.821
Ti: 0.656 0.656 0.001
Ti: 0.000 0.000 0.000
Se: 0.840 0.840 0.498
Ti: 0.344 0.344 0.999
Se: 0.757 0.757 0.165
Se: 0.160 0.160 0.502
Ti: 0.708 0.708 0.652
Se: 0.087 0.087 0.179
Ti: 0.292 0.292 0.348
K: 0.500 0.500 0.500
Se: 0.243 0.243 0.835
Se: 0.574 0.574 0.825
Se: 0.426 0.426 0.175

Properties
The space group is C2/m (12). The calculation puts the formation energy at -1.4808 eV/atom. Its crystal system is monoclinic. The calculated total energy comes out at -85.51 eV per formula unit.

No. 7
Entry from the Materials Project: crystalline BaNaTl2 at its relaxed geometry (GGA-PBE).

Unit cell a=5.821 b=5.821 c=5.821 alpha=60.00 beta=60.00 gamma=60.00
Fractional positions:
Tl: 0.750 0.750 0.750
Na: 0.000 0.000 0.000
Tl: 0.250 0.250 0.250
Ba: 0.500 0.500 0.500

Properties
The space group is Fm-3m (225). The calculation puts the formation energy at -0.2664 eV/atom. Its crystal system is cubic. The calculated total energy comes out at -9.03 eV per formula unit.

Question: Which formula does entry 6 have?
Answer: KTi5Se8

Copy entry 1 word for word.
Entry from the Materials Project: crystalline TeMo2SeS2 at its relaxed geometry (GGA-PBE).

Unit cell a=3.307 b=3.307 c=38.688 alpha=90.00 beta=90.00 gamma=120.00
Fractional positions:
Se: 0.333 0.667 0.702
Mo: 0.333 0.667 0.094
Mo: 0.667 0.333 0.281
Te: 0.667 0.333 0.518
S: 0.667 0.333 0.133
S: 0.667 0.333 0.054
Te: 0.667 0.333 0.420
Mo: 0.667 0.333 0.659
Se: 0.333 0.667 0.615
S: 0.333 0.667 0.321
S: 0.333 0.667 0.242
Mo: 0.333 0.667 0.469

Properties
The space group is P3m1 (156). The calculation puts the formation energy at -0.7858 eV/atom. Its crystal system is trigonal. The calculated total energy comes out at -40.31 eV per formula unit.